Entry from the Materials Project database: crystalline MgCrCoS4 at its relaxed geometry (GGA-PBE).

The structure belongs to space group Imma (No. 74); the cell edges are 7.091, 7.092 and 10.035 Å and the angles 90.00°, 90.00° and 90.00°. The inequivalent atoms are Mg at (0.000, 0.250, 0.125), Cr at (0.000, 0.000, 0.500), Co at (0.250, 0.250, 0.750), S at (0.000, 0.040, 0.739) and S at (0.227, 0.250, 0.520).

The energy relative to the elements is -1.034 eV/atom. The value obtained for the size of the total moment is 12.000 μB/cell. The calculation puts the total energy at -5.73 eV/atom.

---

Entry from the Materials Project database: crystalline MnCr4CoS8 at its relaxed geometry (GGA-PBE).

The structure belongs to space group F-43m (No. 216); the cell edges are 10.003, 10.003 and 10.003 Å and the angles 90.00°, 90.00° and 90.00°. The inequivalent atoms are Mn at (0.000, 0.000, 0.000), Cr at (0.124, 0.124, 0.376), Co at (0.250, 0.250, 0.750), S at (0.118, 0.118, 0.618) and S at (0.135, 0.135, 0.135).

The energy relative to the elements is -0.945 eV/atom. The value obtained for the size of the total moment is 55.996 μB/cell. The calculation puts the total energy at -6.94 eV/atom.

---

Entry from the Materials Project database: crystalline CrCoN2 at its relaxed geometry (GGA-PBE).

The structure belongs to space group P6_3/mmc (No. 194); the cell edges are 2.7551, 2.7551 and 9.8795 Å and the angles 90.00°, 90.00° and 120.00°. The inequivalent atoms are Cr at (0.3333, 0.6667, 0.2500), Co at (0.0000, 0.0000, 0.0000) and N at (0.3333, 0.6667, 0.6261).

The energy relative to the elements is -0.165 eV/atom. The value obtained for the size of the total moment is 0.016 μB/cell. The calculation puts the total energy at -8.34 eV/atom.

---

Entry from the Materials Project database: crystalline CrCo3N3 at its relaxed geometry (GGA-PBE).

The structure belongs to space group P2_1/m (No. 11); the cell edges are 6.302, 3.876 and 6.384 Å and the angles 90.00°, 119.28° and 90.00°. The inequivalent atoms are Cr at (0.167, 0.250, 0.336), Co at (0.141, 0.250, 0.823), Co at (0.319, 0.750, 0.178), Co at (0.320, 0.750, 0.639), N at (0.161, 0.750, 0.832), N at (0.330, 0.250, 0.169) and N at (0.330, 0.250, 0.660).

The energy relative to the elements is -0.063 eV/atom. The value obtained for the size of the total moment is 0.112 μB/cell. The calculation puts the total energy at -7.91 eV/atom.

---

Entry from the Materials Project database: crystalline Cr2Co3N4 at its relaxed geometry (GGA-PBE).

The structure belongs to space group C2/c (No. 15); the cell edges are 8.505, 7.124 and 5.447 Å and the angles 90.00°, 90.71° and 90.00°. The inequivalent atoms are Cr at (0.184, 0.128, 0.151), Co at (0.000, 0.158, 0.750), Co at (0.120, 0.393, 0.488), N at (0.105, 0.332, 0.974) and N at (0.154, 0.105, 0.492).

The energy relative to the elements is -0.183 eV/atom. The value obtained for the size of the total moment is 1.268 μB/cell. The calculation puts the total energy at -8.24 eV/atom.

---

Entry from the Materials Project database: crystalline NbCrCo at its relaxed geometry (GGA-PBE).

The structure belongs to space group F-43m (No. 216); the cell edges are 5.841, 5.841 and 5.841 Å and the angles 90.00°, 90.00° and 90.00°. The inequivalent atoms are Nb at (0.000, 0.000, 0.000), Cr at (0.250, 0.250, 0.750) and Co at (0.250, 0.250, 0.250).

The energy relative to the elements is 0.825 eV/atom. The value obtained for the size of the total moment is 12.185 μB/cell. The calculation puts the total energy at -8.13 eV/atom.

---

Entry from the Materials Project database: crystalline Cr4CoNiS8 at its relaxed geometry (GGA-PBE).

The structure belongs to space group F-43m (No. 216); the cell edges are 9.750, 9.750 and 9.750 Å and the angles 90.00°, 90.00° and 90.00°. The inequivalent atoms are Cr at (0.125, 0.125, 0.125), Co at (0.000, 0.000, 0.500), Ni at (0.250, 0.250, 0.750), S at (0.119, 0.119, 0.881) and S at (0.130, 0.130, 0.370).

The energy relative to the elements is -0.881 eV/atom. The value obtained for the size of the total moment is 44.571 μB/cell. The calculation puts the total energy at -6.64 eV/atom.

---

Entry from the Materials Project database: crystalline Pr2Cr3Co14 at its relaxed geometry (GGA-PBE).

The structure belongs to space group R-3m (No. 166, hexagonal axes); the cell edges are 8.3996, 8.3996 and 12.1001 Å and the angles 90.00°, 90.00° and 120.00°. The inequivalent atoms are Pr at (0.0000, 0.0000, 0.1483), Cr at (0.0000, 0.5000, 0.0000), Co at (0.0000, 0.0000, 0.4027), Co at (0.0000, 0.2843, 0.5000) and Co at (0.0151, 0.5075, 0.3476).

The energy relative to the elements is 0.037 eV/atom. The value obtained for the size of the total moment is 35.846 μB/cell. The calculation puts the total energy at -7.23 eV/atom.

---

Entry from the Materials Project database: crystalline Pr2Cr2Co15 at its relaxed geometry (GGA-PBE).

The structure belongs to space group C2/m (No. 12); the cell edges are 9.424, 8.439 and 6.295 Å and the angles 90.00°, 99.20° and 90.00°. The inequivalent atoms are Pr at (0.152, 0.000, 0.351), Cr at (0.250, 0.250, 0.000), Co at (0.000, 0.216, 0.000), Co at (0.000, 0.500, 0.500), Co at (0.096, 0.500, 0.902), Co at (0.099, 0.258, 0.658), Co at (0.142, 0.358, 0.283) and Co at (0.157, 0.000, 0.859).

The energy relative to the elements is 0.023 eV/atom. The value obtained for the size of the total moment is 32.610 μB/cell. The calculation puts the total energy at -7.11 eV/atom.

---

Entry from the Materials Project database: crystalline Cr2CoS4 at its relaxed geometry (GGA-PBE).

The structure belongs to space group Fd-3m (No. 227, origin choice 2); the cell edges are 9.780, 9.780 and 9.780 Å and the angles 90.00°, 90.00° and 90.00°. The inequivalent atoms are Cr at (0.000, 0.000, 0.000), Co at (0.125, 0.125, 0.625) and S at (0.006, 0.006, 0.244).

The energy relative to the elements is -0.833 eV/atom. The value obtained for the size of the total moment is 59.360 μB/cell. The calculation puts the total energy at -6.68 eV/atom.

---

Entry from the Materials Project database: crystalline Cr2CoSe3S at its relaxed geometry (GGA-PBE).

The structure belongs to space group Cm (No. 8); the cell edges are 12.565, 3.635 and 6.258 Å and the angles 90.00°, 119.64° and 90.00°. The inequivalent atoms are Cr at (0.000, 0.000, 0.000), Cr at (0.024, 0.500, 0.578), Co at (0.269, 0.000, 0.308), Se at (0.136, 0.500, 0.325), Se at (0.153, 0.000, 0.855), Se at (0.392, 0.500, 0.264) and S at (0.388, 0.000, 0.735).

The energy relative to the elements is -0.529 eV/atom. The value obtained for the size of the total moment is 14.000 μB/cell. The calculation puts the total energy at -6.32 eV/atom.

---

Entry from the Materials Project database: crystalline CrCoSi2 at its relaxed geometry (GGA-PBE).

The structure belongs to space group P2_1 (No. 4); the cell edges are 4.564, 4.460 and 4.572 Å and the angles 90.00°, 90.09° and 90.00°. The inequivalent atoms are Cr at (0.125, 0.000, 0.101), Co at (0.361, 0.724, 0.610), Si at (0.162, 0.204, 0.587) and Si at (0.358, 0.518, 0.094).

The energy relative to the elements is -0.376 eV/atom. The value obtained for the size of the total moment is 1.586 μB/cell. The calculation puts the total energy at -7.31 eV/atom.

---

Entry from the Materials Project database: crystalline Cr2CoTe4 at its relaxed geometry (GGA-PBE).

The structure belongs to space group C2/m (No. 12); the cell edges are 13.306, 4.011 and 6.884 Å and the angles 90.00°, 120.22° and 90.00°. The inequivalent atoms are Cr at (0.243, 0.000, 0.224), Co at (0.000, 0.500, 0.500), Te at (0.114, 0.500, 0.946) and Te at (0.127, 0.000, 0.470).

The energy relative to the elements is -0.392 eV/atom. The value obtained for the size of the total moment is 14.277 μB/cell. The calculation puts the total energy at -5.72 eV/atom.

---

Entry from the Materials Project database: crystalline CrCoTe at its relaxed geometry (GGA-PBE).

The structure belongs to space group F-43m (No. 216); the cell edges are 5.882, 5.882 and 5.882 Å and the angles 90.00°, 90.00° and 90.00°. The inequivalent atoms are Cr at (0.000, 0.000, 0.000), Co at (0.250, 0.250, 0.250) and Te at (0.000, 0.000, 0.500).

The energy relative to the elements is -0.059 eV/atom. The value obtained for the size of the total moment is 12.070 μB/cell. The calculation puts the total energy at -6.55 eV/atom.

---

Entry from the Materials Project database: crystalline ZrCrCo at its relaxed geometry (GGA-PBE).

The structure belongs to space group Amm2 (No. 38); the cell edges are 8.312, 5.000 and 8.367 Å and the angles 90.00°, 90.00° and 90.00°. The inequivalent atoms are Zr at (0.184, 0.000, 0.000), Zr at (0.311, 0.000, 0.666), Cr at (0.000, 0.000, 0.489), Cr at (0.500, 0.000, 0.160), Cr at (0.500, 0.248, 0.916), Co at (0.000, 0.247, 0.738) and Co at (0.243, 0.000, 0.336).

The energy relative to the elements is -0.168 eV/atom. The value obtained for the size of the total moment is 0.377 μB/cell. The energy above the most stable polymorph in this dataset comes out at 0.000 eV per atom. The calculation puts the total energy at -8.60 eV/atom.

---

Entry from the Materials Project database: crystalline ZrCrCo at its relaxed geometry (GGA-PBE).

The structure belongs to space group Amm2 (No. 38); the cell edges are 7.886, 4.966 and 8.809 Å and the angles 90.00°, 90.00° and 90.00°. The inequivalent atoms are Zr at (0.184, 0.000, 0.000), Zr at (0.307, 0.000, 0.668), Cr at (0.249, 0.000, 0.337), Cr at (0.500, 0.249, 0.917), Co at (0.000, 0.000, 0.502), Co at (0.000, 0.249, 0.251) and Co at (0.500, 0.000, 0.162).

The energy relative to the elements is -0.160 eV/atom. The value obtained for the size of the total moment is 2.717 μB/cell. The energy above the most stable polymorph in this dataset comes out at 0.008 eV per atom. The calculation puts the total energy at -8.60 eV/atom.

---

Entry from the Materials Project database: crystalline Cs3CoI5 at its relaxed geometry (GGA-PBE).

The structure belongs to space group Pnma (No. 62); the cell edges are 10.194, 11.786 and 15.063 Å and the angles 90.00°, 90.00° and 90.00°. The inequivalent atoms are Cs at (0.082, 0.016, 0.173), Cs at (0.087, 0.250, 0.454), Co at (0.187, 0.250, 0.894), I at (0.028, 0.750, 0.014), I at (0.141, 0.250, 0.725), I at (0.167, 0.750, 0.737) and I at (0.192, 0.565, 0.435).

The energy relative to the elements is -1.292 eV/atom. The calculation puts the total energy at -3.02 eV/atom.

---

Entry from the Materials Project database: crystalline CsMg14Co at its relaxed geometry (GGA-PBE).

The structure belongs to space group Amm2 (No. 38); the cell edges are 10.663, 6.335 and 11.484 Å and the angles 90.00°, 90.00° and 90.00°. The inequivalent atoms are Cs at (0.000, 0.000, 0.000), Mg at (0.000, 0.248, 0.246), Mg at (0.219, 0.000, 0.613), Mg at (0.256, 0.240, 0.372), Mg at (0.281, 0.000, 0.132), Mg at (0.500, 0.000, 0.465), Mg at (0.500, 0.000, 0.957), Mg at (0.500, 0.243, 0.714) and Co at (0.000, 0.000, 0.429).

The energy relative to the elements is 0.242 eV/atom. The value obtained for the size of the total moment is 0.084 μB/cell. The energy above the most stable polymorph in this dataset comes out at 0.000 eV per atom. The calculation puts the total energy at -1.66 eV/atom.

---

Entry from the Materials Project database: crystalline CsMg6Co at its relaxed geometry (GGA-PBE).

The structure belongs to space group Amm2 (No. 38); the cell edges are 3.907, 9.026 and 13.245 Å and the angles 90.00°, 90.00° and 90.00°. The inequivalent atoms are Cs at (0.000, 0.000, 0.000), Mg at (0.000, 0.240, 0.754), Mg at (0.500, 0.000, 0.237), Mg at (0.500, 0.000, 0.647), Mg at (0.500, 0.159, 0.437) and Co at (0.000, 0.000, 0.359).

The energy relative to the elements is 0.313 eV/atom. The value obtained for the size of the total moment is 1.412 μB/cell. The energy above the most stable polymorph in this dataset comes out at 0.058 eV per atom. The calculation puts the total energy at -1.89 eV/atom.